1.
# HoTc2

A geometry-optimized HoTc2 structure (r²SCAN, the Materials Project).

The structure in POSCAR format:
```
HoTc2
1.0
-2.665 -4.617 0.000
-2.665 4.617 0.000
0.000 0.000 -8.822
Tc Ho
8 4
direct
0.828 0.657 0.250
0.171 0.829 0.750
0.172 0.343 0.750
0.829 0.171 0.250
0.343 0.172 0.250
0.657 0.828 0.750
0.000 0.000 0.500
0.000 0.000 0.000
0.333 0.667 0.437
0.667 0.333 0.937
0.333 0.667 0.063
0.667 0.333 0.563
```

Results
The calculated density is 11.04 g/cm³. The calculation puts the spin magnetization at 0.0 μB per formula unit. The value obtained for the formation energy from the elements is -0.228 eV/atom.

=====

2.
# LiEr2Ru

A geometry-optimized LiEr2Ru structure (r²SCAN, the Materials Project).

The structure in POSCAR format:
```
LiEr2Ru
1.0
0.000 3.421 3.421
3.421 0.000 3.421
3.421 3.421 0.000
Li Er Ru
1 2 1
direct
0.250 0.250 0.250
0.000 0.000 0.000
0.500 0.500 0.500
0.750 0.750 0.750
```

Results
The calculated density is 9.18 g/cm³. The calculation puts the spin magnetization at 0.0 μB per formula unit. The value obtained for the formation energy from the elements is -0.323 eV/atom.

=====

3.
# Ba2CuF6

A geometry-optimized Ba2CuF6 structure (r²SCAN, the Materials Project).

The structure in POSCAR format:
```
Ba2CuF6
1.0
-2.086 2.086 7.769
2.086 -2.086 7.769
2.086 2.086 -7.769
F Ba Cu
6 2 1
direct
0.620 0.620 0.000
0.500 0.000 0.500
0.380 0.380 0.000
0.750 0.250 0.500
0.000 0.500 0.500
0.250 0.750 0.500
0.853 0.853 0.000
0.147 0.147 0.000
0.500 0.500 0.000
```

Results
The calculated density is 5.55 g/cm³. The calculation puts the spin magnetization at 1.0 μB per formula unit. The calculation puts the energy above the most stable polymorph in this dataset at 12 meV per atom. The value obtained for the formation energy from the elements is -3.370 eV/atom.

=====

4.
# Ca3Eu

A geometry-optimized Ca3Eu structure (r²SCAN, the Materials Project).

The structure in POSCAR format:
```
Ca3Eu
1.0
3.962 -6.863 0.000
3.962 6.863 0.000
0.000 0.000 6.530
Ca Eu
6 2
direct
0.167 0.333 0.250
0.167 0.833 0.250
0.833 0.167 0.750
0.833 0.667 0.750
0.333 0.167 0.750
0.667 0.833 0.250
0.333 0.667 0.750
0.667 0.333 0.250
```

Results
The calculated density is 2.55 g/cm³. The calculation puts the spin magnetization at 7.6 μB per formula unit. The calculation puts the energy above the most stable polymorph in this dataset at 0 meV per atom. The value obtained for the formation energy from the elements is 0.017 eV/atom.

=====

5.
# Ta2V4Si5

A geometry-optimized Ta2V4Si5 structure (r²SCAN, the Materials Project).

The structure in POSCAR format:
```
Ta2V4Si5
1.0
-2.561 3.782 8.177
2.561 -3.782 8.177
2.561 3.782 -8.177
V Si Ta
8 10 4
direct
0.262 0.143 0.119
0.684 0.436 0.248
0.738 0.857 0.881
0.316 0.564 0.751
0.813 0.064 0.749
0.975 0.357 0.619
0.025 0.643 0.381
0.187 0.936 0.251
0.014 0.209 0.805
0.986 0.791 0.195
0.596 0.291 0.305
0.000 0.750 0.750
0.347 0.440 0.907
0.000 0.250 0.250
0.653 0.560 0.093
0.404 0.709 0.695
0.467 0.060 0.407
0.533 0.940 0.593
0.689 0.939 0.250
0.311 0.561 0.250
0.689 0.439 0.750
0.311 0.061 0.750
```

Results
The calculated density is 7.40 g/cm³. The calculation puts the spin magnetization at 1.8 μB per formula unit. The value obtained for the formation energy from the elements is -0.407 eV/atom.

=====

6.
# K3Na

A geometry-optimized K3Na structure (r²SCAN, the Materials Project).

The structure in POSCAR format:
```
K3Na
1.0
-5.554 2.512 -1.848
0.498 -3.012 -5.590
-3.078 -5.019 2.430
K Na
3 1
direct
0.500 0.500 0.000
0.000 0.500 0.500
0.500 0.000 0.500
0.000 0.000 0.000
```

Results
The calculated density is 0.90 g/cm³. The calculation puts the spin magnetization at 0.0 μB per formula unit. The value obtained for the formation energy from the elements is 0.023 eV/atom.

=====

7.
# Na2Mn3O7

A geometry-optimized Na2Mn3O7 structure (r²SCAN, the Materials Project).

The structure in POSCAR format:
```
Na2Mn3O7
1.0
-1.818 0.767 6.389
2.236 -6.212 -1.164
6.000 4.315 -1.427
Mn O Na
6 14 4
direct
0.779 0.781 0.358
0.923 0.921 0.779
0.642 0.640 0.919
0.221 0.219 0.642
0.358 0.360 0.081
0.077 0.079 0.221
0.310 0.490 0.866
0.547 0.356 0.722
0.613 0.802 0.753
0.690 0.510 0.134
0.971 0.792 0.982
0.123 0.943 0.415
0.029 0.208 0.018
0.737 0.916 0.153
0.130 0.320 0.436
0.453 0.644 0.278
0.870 0.680 0.564
0.877 0.057 0.585
0.263 0.084 0.847
0.387 0.198 0.247
0.737 0.312 0.523
0.336 0.827 0.062
0.263 0.688 0.477
0.664 0.173 0.938
```

Results
The calculated density is 3.95 g/cm³. The calculation puts the spin magnetization at 9.0 μB per formula unit. The value obtained for the formation energy from the elements is -2.100 eV/atom.

=====

8.
# LuInCu2

A geometry-optimized LuInCu2 structure (r²SCAN, the Materials Project).

The structure in POSCAR format:
```
LuInCu2
1.0
3.970 0.000 2.292
1.323 3.743 2.292
0.000 0.000 4.584
Cu In Lu
2 1 1
direct
0.750 0.750 0.750
0.250 0.250 0.250
0.000 0.000 0.000
0.500 0.500 0.500
```

Results
The calculated density is 10.16 g/cm³. The calculation puts the spin magnetization at 0.0 μB per formula unit. The value obtained for the formation energy from the elements is -0.366 eV/atom.